Record 1
Entry from the Materials Project: a relaxed structure of Ti21Mn25 (PBE).

POSCAR file:
```
Ti21Mn25
1.0
-0.470 -6.279 12.170
-1.525 -7.980 -11.034
8.881 10.370 -1.164
Ti Mn
42 50
direct
0.750 0.445 0.055
0.566 0.451 0.681
0.049 0.816 0.274
0.555 0.945 0.250
0.816 0.274 0.049
0.951 0.066 0.181
0.774 0.316 0.549
0.726 0.951 0.184
0.138 0.043 0.561
0.439 0.862 0.957
0.362 0.939 0.457
0.451 0.681 0.566
0.543 0.638 0.061
0.939 0.457 0.362
0.638 0.061 0.543
0.862 0.957 0.439
0.226 0.684 0.451
0.819 0.049 0.934
0.457 0.362 0.939
0.043 0.561 0.138
0.549 0.319 0.434
0.181 0.951 0.066
0.066 0.181 0.951
0.945 0.250 0.555
0.681 0.566 0.451
0.319 0.434 0.549
0.561 0.138 0.043
0.951 0.184 0.726
0.049 0.934 0.819
0.274 0.049 0.816
0.055 0.750 0.445
0.445 0.055 0.750
0.184 0.726 0.951
0.451 0.226 0.684
0.434 0.549 0.319
0.957 0.439 0.862
0.684 0.451 0.226
0.934 0.819 0.049
0.316 0.549 0.774
0.250 0.555 0.945
0.061 0.543 0.638
0.549 0.774 0.316
0.250 0.806 0.694
0.265 0.619 0.616
0.519 0.928 0.811
0.884 0.881 0.235
0.735 0.381 0.384
0.250 0.189 0.311
0.481 0.072 0.189
0.868 0.571 0.807
0.189 0.481 0.072
0.807 0.868 0.571
0.981 0.689 0.572
0.429 0.193 0.132
0.072 0.189 0.481
0.632 0.693 0.929
0.071 0.368 0.307
0.189 0.311 0.250
0.689 0.750 0.811
0.500 0.500 0.500
0.194 0.306 0.750
0.750 0.194 0.306
0.811 0.519 0.928
0.000 0.000 0.000
0.616 0.265 0.619
0.428 0.019 0.311
0.193 0.132 0.429
0.689 0.572 0.981
0.311 0.250 0.189
0.619 0.616 0.265
0.765 0.116 0.119
0.806 0.694 0.250
0.693 0.929 0.632
0.235 0.884 0.881
0.368 0.307 0.071
0.119 0.765 0.116
0.311 0.428 0.019
0.750 0.811 0.689
0.811 0.689 0.750
0.019 0.311 0.428
0.572 0.981 0.689
0.306 0.750 0.194
0.384 0.735 0.381
0.132 0.429 0.193
0.881 0.235 0.884
0.928 0.811 0.519
0.381 0.384 0.735
0.116 0.119 0.765
0.929 0.632 0.693
0.571 0.807 0.868
0.307 0.071 0.368
0.694 0.250 0.806
```

Calculated values
Total moment   0.0 μB/f.u.
Total DFT energy (no corrections)   -8.8387 eV/atom
Space-group type   R-3c (167)
ΔE_f   -24.6 kJ per mole of atoms



Record 2
Entry from the Materials Project: a relaxed structure of Ti5Mn3 (PBE).

POSCAR file:
```
Ti5Mn3
1.0
0.000 0.000 -5.255
-3.587 -6.212 0.000
-3.587 6.212 0.000
Ti Mn
10 6
direct
0.500 0.667 0.333
0.750 0.239 0.000
0.750 0.761 0.761
0.500 0.333 0.667
0.000 0.333 0.667
0.250 0.761 0.000
0.750 0.000 0.239
0.000 0.667 0.333
0.250 0.000 0.761
0.250 0.239 0.239
0.750 0.601 0.000
0.750 0.399 0.399
0.250 0.000 0.399
0.750 0.000 0.601
0.250 0.601 0.601
0.250 0.399 0.000
```

Calculated values
Total moment   0.8 μB/f.u.
Total DFT energy (no corrections)   -8.4220 eV/atom
Space-group type   P6_3/mcm (193)
ΔE_f   -5.0 kJ per mole of atoms



Record 3
Entry from the Materials Project: a relaxed structure of TiMn2V (PBE).

POSCAR file:
```
TiMn2V
1.0
0.000 2.924 2.924
2.924 0.000 2.924
2.924 2.924 0.000
Ti Mn V
1 2 1
direct
0.000 0.000 0.000
0.250 0.250 0.250
0.750 0.750 0.750
0.500 0.500 0.500
```

Calculated values
Total DFT energy (no corrections)   -9.1028 eV/atom
Space-group type   Fm-3m (225)
ΔE_f   -26.7 kJ per mole of atoms



Record 4
Entry from the Materials Project: a relaxed structure of TiMnV2 (PBE).

POSCAR file:
```
TiMnV2
1.0
-1.491 -1.552 1.552
-1.491 1.552 -1.552
0.000 -5.814 -5.814
Mn Ti V
1 1 2
direct
0.500 0.500 0.260
0.000 0.000 0.018
0.500 0.500 0.737
0.000 0.000 0.485
```

Calculated values
Total moment   0.0 μB/f.u.
Total DFT energy (no corrections)   -8.8353 eV/atom
Space-group type   Cmm2 (35)
ΔE_f   -2.8 kJ per mole of atoms



Record 5
Entry from the Materials Project: a relaxed structure of TiMnV (PBE).

POSCAR file:
```
TiMnV
1.0
-1.485 -1.578 1.578
-1.485 1.578 -1.578
1.485 -4.335 -4.335
Ti Mn V
1 1 1
direct
0.991 0.991 0.983
0.328 0.328 0.655
0.681 0.681 0.362
```

Calculated values
Total moment   0.0 μB/f.u.
Total DFT energy (no corrections)   -8.7662 eV/atom
Space-group type   Fmm2 (42)
ΔE_f   -5.1 kJ per mole of atoms



Record 6
Entry from the Materials Project: a relaxed structure of Ti4Mn5V3 (PBE).

POSCAR file:
```
Ti4Mn5V3
1.0
-0.204 -1.142 4.723
-0.017 -3.512 -3.365
7.882 -0.296 0.269
V Mn Ti
3 5 4
direct
0.828 0.172 0.500
0.004 0.996 0.244
0.004 0.996 0.756
0.172 0.828 0.000
0.653 0.827 0.000
0.173 0.347 0.000
0.341 0.174 0.500
0.826 0.659 0.500
0.666 0.334 0.816
0.334 0.666 0.311
0.334 0.666 0.689
0.666 0.334 0.184
```

Calculated values
Total DFT energy (no corrections)   -8.9525 eV/atom
Space-group type   Amm2 (38)
ΔE_f   -22.4 kJ per mole of atoms



Record 7
Entry from the Materials Project: a relaxed structure of Mn3Tl (PBE).

POSCAR file:
```
Mn3Tl
1.0
4.022 0.000 0.000
0.000 4.022 0.000
0.000 0.000 4.022
Tl Mn
1 3
direct
0.000 0.000 0.000
0.500 0.000 0.500
0.000 0.500 0.500
0.500 0.500 0.000
```

Calculated values
Total moment   10.1 μB/f.u.
Total DFT energy (no corrections)   -6.9744 eV/atom
Space-group type   Pm-3m (221)
ΔE_f   47.1 kJ per mole of atoms



Record 8
Entry from the Materials Project: a relaxed structure of TmMn2 (PBE).

POSCAR file:
```
TmMn2
1.0
2.650 -4.590 0.000
2.650 4.590 0.000
0.000 0.000 8.011
Mn Tm
8 4
direct
0.000 0.000 0.000
0.663 0.832 0.750
0.168 0.832 0.750
0.832 0.168 0.250
0.337 0.168 0.250
0.832 0.663 0.250
0.168 0.337 0.750
0.000 0.000 0.500
0.667 0.333 0.560
0.333 0.667 0.060
0.667 0.333 0.940
0.333 0.667 0.440
```

Calculated values
Total DFT energy (no corrections)   -7.5852 eV/atom
Space-group type   P6_3/mmc (194)
ΔE_f   1.4 kJ per mole of atoms



> Among the records above, which one has the lowest total DFT energy (no corrections)?

TiMn2V